Record 1
Below is a relaxed structure of Na12B26O45, with properties calculated at the PBE-GGA level.

Computed properties:
The MP2020-corrected energy comes out at -7.7125 eV per atom. The calculation puts the formation energy at -2.7463 eV/atom. For the total moment, the calculation gives 0.00 μB/cell. For the calculated total energy, the calculation gives -7.340 eV/atom. As for the crystal system: orthorhombic. The calculation puts the volume at 1750 Å³/cell. Its space-group type is Iba2, No. 45.

Lattice parameters (Å, degrees): 18.356 18.356 18.356 149.52 46.33 145.96
Atoms (fractional coordinates):
Na 0.045 0.066 0.111
Na 0.074 0.390 0.910
Na 0.189 0.194 0.749
Na 0.218 0.750 0.780
Na 0.343 0.538 0.594
Na 0.368 0.833 0.376
Na 0.443 0.038 0.195
Na 0.445 0.441 0.251
Na 0.455 0.566 0.020
Na 0.457 0.992 0.624
Na 0.470 0.250 0.533
Na 0.480 0.163 0.090
Na 0.545 0.434 0.980
Na 0.574 0.663 0.683
Na 0.689 0.941 0.996
Na 0.718 0.938 0.467
Na 0.843 0.249 0.805
Na 0.868 0.492 0.535
Na 0.943 0.749 0.406
Na 0.945 0.694 0.004
Na 0.955 0.934 0.889
Na 0.957 0.333 0.465
Na 0.970 0.438 0.220
Na 0.980 0.890 0.317
B 0.000 0.709 0.796
B 0.037 0.315 0.581
B 0.045 0.651 0.071
B 0.080 0.151 0.606
B 0.107 0.557 0.839
B 0.114 0.534 0.373
B 0.122 0.364 0.119
B 0.161 0.741 0.627
B 0.168 0.359 0.420
B 0.169 0.938 0.640
B 0.183 0.116 0.241
B 0.202 0.877 0.069
B 0.218 0.057 0.450
B 0.233 0.550 0.083
B 0.234 0.815 0.278
B 0.245 0.002 0.881
B 0.264 0.124 0.847
B 0.278 0.417 0.153
B 0.298 0.528 0.360
B 0.308 0.377 0.675
B 0.336 0.773 0.897
B 0.374 0.616 0.933
B 0.376 0.273 0.437
B 0.413 0.209 0.709
B 0.439 0.859 0.191
B 0.467 0.150 0.917
B 0.500 0.704 0.291
B 0.537 0.956 0.722
B 0.545 0.473 0.394
B 0.580 0.973 0.929
B 0.607 0.768 0.550
B 0.614 0.241 0.579
B 0.622 0.502 0.758
B 0.661 0.034 0.421
B 0.668 0.249 0.809
B 0.669 0.028 0.230
B 0.683 0.442 0.067
B 0.702 0.633 0.325
B 0.718 0.268 0.161
B 0.733 0.650 0.683
B 0.734 0.456 0.419
B 0.745 0.864 0.242
B 0.764 0.917 0.140
B 0.778 0.624 0.860
B 0.798 0.438 0.770
B 0.808 0.133 0.931
B 0.836 0.939 0.563
B 0.874 0.942 0.759
B 0.876 0.439 0.103
B 0.913 0.204 0.204
B 0.939 0.749 0.580
B 0.967 0.050 0.317
O 0.013 0.384 0.714
O 0.033 0.643 0.652
O 0.043 0.199 0.339
O 0.048 0.993 0.235
O 0.049 0.523 0.925
O 0.064 0.792 0.549
O 0.097 0.023 0.474
O 0.113 0.874 0.895
O 0.116 0.829 0.150
O 0.129 0.721 0.932
O 0.148 0.385 0.042
O 0.148 0.434 0.564
O 0.154 0.980 0.757
O 0.162 0.626 0.176
O 0.166 0.544 0.280
O 0.169 0.884 0.371
O 0.179 0.329 0.713
O 0.192 0.692 0.500
O 0.197 0.317 0.064
O 0.223 0.397 0.243
O 0.235 0.599 0.792
O 0.243 0.514 0.451
O 0.249 0.301 0.335
O 0.253 0.057 0.157
O 0.253 0.133 0.936
O 0.258 0.493 0.945
O 0.264 0.886 0.720
O 0.288 0.221 0.592
O 0.289 0.051 0.621
O 0.306 0.099 0.364
O 0.321 0.901 0.035
O 0.343 0.106 0.958
O 0.360 0.699 0.157
O 0.366 0.401 0.581
O 0.370 0.934 0.285
O 0.384 0.242 0.831
O 0.400 0.557 0.804
O 0.411 0.553 0.169
O 0.430 0.668 0.379
O 0.450 0.986 0.824
O 0.458 0.817 0.853
O 0.464 0.317 0.359
O 0.466 0.801 0.052
O 0.479 0.374 0.760
O 0.491 0.143 0.609
O 0.513 0.798 0.629
O 0.533 0.881 0.391
O 0.543 0.204 0.843
O 0.548 0.313 0.055
O 0.549 0.624 0.526
O 0.564 0.014 0.272
O 0.597 0.124 0.075
O 0.613 0.719 0.240
O 0.616 0.466 0.287
O 0.629 0.697 0.408
O 0.648 0.085 0.715
O 0.648 0.606 0.763
O 0.654 0.897 0.174
O 0.662 0.486 0.536
O 0.666 0.386 0.622
O 0.669 0.298 0.286
O 0.679 0.966 0.850
O 0.692 0.192 0.500
O 0.697 0.633 0.881
O 0.723 0.480 0.826
O 0.735 0.942 0.636
O 0.743 0.292 0.728
O 0.749 0.414 0.948
O 0.753 0.596 0.196
O 0.753 0.817 0.119
O 0.758 0.813 0.765
O 0.764 0.044 0.378
O 0.788 0.197 0.068
O 0.789 0.168 0.238
O 0.806 0.442 0.208
O 0.821 0.785 0.419
O 0.843 0.885 0.237
O 0.860 0.704 0.661
O 0.866 0.285 0.965
O 0.870 0.585 0.436
O 0.884 0.053 0.142
O 0.900 0.096 0.843
O 0.911 0.742 0.858
O 0.930 0.551 0.762
O 0.950 0.126 0.464
O 0.958 0.104 0.641
O 0.964 0.604 0.147
O 0.966 0.914 0.665
O 0.979 0.219 0.105
O 0.991 0.381 0.348

---

Record 2
Below is a relaxed structure of NdCu4P2, with properties calculated at the PBE-GGA level.

Computed properties:
The calculation puts the formation energy at -0.5316 eV/atom. For the calculated total energy, the calculation gives -5.102 eV/atom. As for the crystal system: orthorhombic. The calculation puts the volume at 625 Å³/cell. Its space-group type is Pnnm, No. 58.

Lattice parameters (Å, degrees): 10.987 14.661 3.878 90.00 90.00 90.00
Atoms (fractional coordinates):
Nd 0.000 0.000 0.000
Nd 0.123 0.274 0.000
Nd 0.377 0.774 0.500
Nd 0.500 0.500 0.500
Nd 0.623 0.226 0.500
Nd 0.877 0.726 0.000
Cu 0.068 0.564 0.000
Cu 0.074 0.832 0.500
Cu 0.099 0.447 0.500
Cu 0.171 0.716 0.000
Cu 0.235 0.965 0.500
Cu 0.242 0.589 0.500
Cu 0.258 0.089 0.000
Cu 0.265 0.465 0.000
Cu 0.329 0.216 0.500
Cu 0.401 0.947 0.000
Cu 0.426 0.332 0.000
Cu 0.432 0.064 0.500
Cu 0.568 0.936 0.500
Cu 0.574 0.668 0.000
Cu 0.599 0.053 0.000
Cu 0.671 0.784 0.500
Cu 0.735 0.535 0.000
Cu 0.742 0.911 0.000
Cu 0.758 0.411 0.500
Cu 0.765 0.035 0.500
Cu 0.829 0.284 0.000
Cu 0.901 0.553 0.500
Cu 0.926 0.168 0.500
Cu 0.932 0.436 0.000
P 0.059 0.666 0.500
P 0.134 0.115 0.500
P 0.207 0.872 0.000
P 0.293 0.372 0.500
P 0.366 0.615 0.000
P 0.441 0.166 0.000
P 0.559 0.834 0.000
P 0.634 0.385 0.000
P 0.707 0.628 0.500
P 0.793 0.128 0.000
P 0.866 0.885 0.500
P 0.941 0.334 0.500

---

Record 3
Below is a relaxed structure of KInP2O8, with properties calculated at the PBE-GGA level.

Computed properties:
The MP2020-corrected energy comes out at -6.7854 eV per atom. The calculation puts the formation energy at -2.2627 eV/atom. For the total moment, the calculation gives 8.00 μB/cell. For the calculated total energy, the calculation gives -6.327 eV/atom. As for the crystal system: monoclinic. The calculation puts the volume at 726 Å³/cell. Its space-group type is P2_1/c, No. 14.

Lattice parameters (Å, degrees): 9.782 8.570 9.610 90.00 115.71 90.00
Atoms (fractional coordinates):
K 0.180 0.135 0.092
K 0.180 0.365 0.592
K 0.820 0.635 0.408
K 0.820 0.865 0.908
In 0.256 0.627 0.991
In 0.256 0.873 0.491
In 0.744 0.127 0.509
In 0.744 0.373 0.009
P 0.091 0.563 0.238
P 0.091 0.937 0.738
P 0.493 0.678 0.826
P 0.493 0.822 0.326
P 0.507 0.178 0.674
P 0.507 0.322 0.174
P 0.909 0.063 0.262
P 0.909 0.437 0.762
O 0.078 0.015 0.311
O 0.078 0.485 0.811
O 0.114 0.651 0.111
O 0.114 0.849 0.611
O 0.142 0.658 0.388
O 0.142 0.842 0.888
O 0.159 0.105 0.771
O 0.159 0.395 0.271
O 0.359 0.083 0.619
O 0.359 0.417 0.119
O 0.365 0.588 0.841
O 0.365 0.912 0.341
O 0.447 0.737 0.657
O 0.447 0.763 0.157
O 0.474 0.158 0.096
O 0.474 0.342 0.596
O 0.526 0.658 0.404
O 0.526 0.842 0.904
O 0.553 0.237 0.843
O 0.553 0.263 0.343
O 0.635 0.088 0.659
O 0.635 0.412 0.159
O 0.641 0.583 0.881
O 0.641 0.917 0.381
O 0.841 0.605 0.729
O 0.841 0.895 0.229
O 0.858 0.158 0.112
O 0.858 0.342 0.612
O 0.886 0.151 0.389
O 0.886 0.349 0.889
O 0.922 0.515 0.189
O 0.922 0.985 0.689

---

Record 4
Below is a relaxed structure of GdErZn2, with properties calculated at the PBE-GGA level.

Computed properties:
The calculation puts the formation energy at -0.8412 eV/atom. For the calculated total energy, the calculation gives -6.132 eV/atom. As for the crystal system: cubic. The calculation puts the volume at 91 Å³/cell. Its space-group type is Fm-3m, No. 225.

Lattice parameters (Å, degrees): 5.046 5.046 5.046 60.00 60.00 60.00
Atoms (fractional coordinates):
Gd 0.000 0.000 0.000
Er 0.500 0.500 0.500
Zn 0.250 0.250 0.250
Zn 0.750 0.750 0.750

---

Record 5
Below is a relaxed structure of Cu12Sb4S13, with properties calculated at the PBE-GGA level.

Computed properties:
The MP2020-corrected energy comes out at -4.5671 eV per atom. The calculation puts the formation energy at -0.4471 eV/atom. For the calculated total energy, the calculation gives -4.342 eV/atom. As for the crystal system: cubic. The calculation puts the volume at 554 Å³/cell. Its space-group type is I-43m, No. 217.

Lattice parameters (Å, degrees): 8.964 8.964 8.964 109.47 109.47 109.47
Atoms (fractional coordinates):
Cu 0.000 0.221 0.221
Cu 0.000 0.779 0.779
Cu 0.221 0.000 0.221
Cu 0.221 0.221 0.000
Cu 0.250 0.500 0.750
Cu 0.250 0.750 0.500
Cu 0.500 0.250 0.750
Cu 0.500 0.750 0.250
Cu 0.750 0.250 0.500
Cu 0.750 0.500 0.250
Cu 0.779 0.000 0.779
Cu 0.779 0.779 0.000
Sb 0.000 0.000 0.458
Sb 0.000 0.458 0.000
Sb 0.458 0.000 0.000
Sb 0.542 0.542 0.542
S 0.000 0.000 0.000
S 0.000 0.519 0.751
S 0.000 0.751 0.519
S 0.231 0.481 0.481
S 0.249 0.249 0.769
S 0.249 0.769 0.249
S 0.481 0.231 0.481
S 0.481 0.481 0.231
S 0.519 0.000 0.751
S 0.519 0.751 0.000
S 0.751 0.000 0.519
S 0.751 0.519 0.000
S 0.769 0.249 0.249

---

Record 6
Below is a relaxed structure of ScTaFe2, with properties calculated at the PBE-GGA level.

Computed properties:
The calculation puts the formation energy at -0.2006 eV/atom. For the calculated total energy, the calculation gives -8.983 eV/atom. As for the crystal system: cubic. The calculation puts the volume at 58 Å³/cell. Its space-group type is Fm-3m, No. 225.

Lattice parameters (Å, degrees): 4.351 4.351 4.351 60.00 60.00 60.00
Atoms (fractional coordinates):
Sc 0.000 0.000 0.000
Ta 0.500 0.500 0.500
Fe 0.250 0.250 0.250
Fe 0.750 0.750 0.750

---

Record 7
Below is a relaxed structure of GaAsO4, with properties calculated at the PBE-GGA level.

Computed properties:
The MP2020-corrected energy comes out at -6.4564 eV per atom. The calculation puts the formation energy at -1.8766 eV/atom. For the total moment, the calculation gives 0.00 μB/cell. For the calculated total energy, the calculation gives -5.998 eV/atom. As for the crystal system: monoclinic. The calculation puts the volume at 536 Å³/cell. Its space-group type is C2, No. 5.

Lattice parameters (Å, degrees): 9.445 9.445 8.933 118.12 118.12 52.20
Atoms (fractional coordinates):
Ga 0.000 0.000 0.000
Ga 0.300 0.056 0.426
Ga 0.306 0.398 0.348
Ga 0.312 0.055 0.938
Ga 0.602 0.694 0.652
Ga 0.659 0.325 0.742
Ga 0.675 0.341 0.258
Ga 0.944 0.700 0.574
Ga 0.945 0.688 0.062
As 0.001 0.999 0.500
As 0.300 0.689 0.746
As 0.306 0.381 0.847
As 0.311 0.700 0.254
As 0.619 0.694 0.153
As 0.635 0.034 0.324
As 0.643 0.020 0.826
As 0.966 0.365 0.676
As 0.980 0.357 0.174
O 0.074 0.475 0.165
O 0.079 0.140 0.507
O 0.084 0.150 0.003
O 0.085 0.464 0.671
O 0.091 0.791 0.805
O 0.093 0.795 0.313
O 0.184 0.274 0.352
O 0.184 0.597 0.530
O 0.188 0.276 0.852
O 0.195 0.591 0.026
O 0.205 0.907 0.687
O 0.209 0.909 0.195
O 0.403 0.816 0.470
O 0.409 0.805 0.974
O 0.413 0.475 0.818
O 0.418 0.160 0.672
O 0.431 0.156 0.170
O 0.431 0.486 0.313
O 0.514 0.569 0.687
O 0.525 0.249 0.994
O 0.525 0.587 0.182
O 0.525 0.926 0.835
O 0.536 0.915 0.329
O 0.537 0.237 0.495
O 0.724 0.812 0.148
O 0.726 0.816 0.648
O 0.751 0.475 0.006
O 0.760 0.115 0.819
O 0.763 0.463 0.505
O 0.776 0.110 0.323
O 0.840 0.582 0.328
O 0.844 0.569 0.830
O 0.850 0.916 0.997
O 0.860 0.921 0.493
O 0.885 0.240 0.181
O 0.890 0.224 0.677

---

Record 8
Below is a relaxed structure of BaLaMg14, with properties calculated at the PBE-GGA level.

Computed properties:
The calculation puts the formation energy at 0.0638 eV/atom. For the total moment, the calculation gives 0.06 μB/cell. For the calculated total energy, the calculation gives -1.765 eV/atom. As for the crystal system: orthorhombic. The offset from the most stable computed form is 0.18 kcal/mol of atoms. The calculation puts the volume at 418 Å³/cell. Its space-group type is Amm2, No. 38.

Lattice parameters (Å, degrees): 10.724 6.722 6.722 59.65 90.00 90.00
Atoms (fractional coordinates):
Ba 0.000 0.000 0.000
La 0.000 0.497 0.497
Mg 0.000 0.001 0.502
Mg 0.000 0.502 0.001
Mg 0.254 0.672 0.672
Mg 0.261 0.177 0.177
Mg 0.271 0.171 0.660
Mg 0.271 0.660 0.171
Mg 0.500 0.000 0.502
Mg 0.500 0.004 0.004
Mg 0.500 0.502 0.000
Mg 0.500 0.505 0.505
Mg 0.729 0.171 0.660
Mg 0.729 0.660 0.171
Mg 0.739 0.177 0.177
Mg 0.746 0.672 0.672